[1]
DFT (PBE-GGA) results for crystalline KPdN at its relaxed geometry.

The structure in POSCAR format:
```
KPdN
1.0
-3.1186 6.9338 7.3983
-3.1173 -2.0050 0.5651
3.0457 -3.4596 4.5262
K Pd N
4 4 4
Direct
0.6606 0.2500 0.0869 K
0.1606 0.2500 0.4131 K
0.3394 0.7500 0.9131 K
0.8394 0.7500 0.5869 K
0.5541 0.2500 0.6130 Pd
0.0541 0.2500 0.8870 Pd
0.4459 0.7500 0.3870 Pd
0.9459 0.7500 0.1130 Pd
0.9237 0.2500 0.1965 N
0.4237 0.2500 0.3035 N
0.0763 0.7500 0.8035 N
0.5763 0.7500 0.6965 N
```

Computed properties:
total magnetic moment	0.0000	μB/atom
formation energy from the elements	0.160	eV per atom
density	4124	kg/m3
relative energy among the computed polymorphs	64.1	meV per atom

---

[2]
DFT (PBE-GGA) results for crystalline KPtN at its relaxed geometry.

The structure in POSCAR format:
```
KPtN
1.0
-1.7803 -1.9313 2.6495
2.4287 -2.8021 -0.4106
5.4790 3.8032 6.4539
K Pt N
2 2 2
Direct
0.5000 0.5000 0.2500 K
0.5000 0.5000 0.7500 K
0.0000 0.0000 0.5000 Pt
0.0000 0.0000 0.0000 Pt
0.0000 0.5000 0.5000 N
0.5000 0.0000 0.0000 N
```

Computed properties:
formation energy from the elements	-0.209	eV per atom
density	6381	kg/m3

---

Among the records above, which one has the highest density?
KPtN

---

Which value of formation energy from the elements does entry 2 give?
-0.209 eV per atom